Below is a relaxed CrReO4 crystal, with properties calculated at the PBE+U level.

Cell: 5.7784 7.4070 7.1613 Å, 99.53 66.21 112.97°
Closest atoms and distances in Å follow each position.
Fractional positions:
Cr 0.7536 0.0170 0.5098  6 O 1.98-2.05
Cr 0.2464 0.9830 0.4902  6 O 1.98-2.05
Cr 0.2536 0.5170 0.0098  6 O 1.98-2.05
Cr 0.7464 0.4830 0.9902  6 O 1.98-2.05
Re 0.7218 0.5000 0.5000  6 O 1.93-2.04
Re 0.2217 0.0000 0.0000  6 O 1.93-2.04
Re 0.2782 0.5000 0.5000  6 O 1.93-2.04
Re 0.7782 0.0000 0.0000  6 O 1.93-2.04
O 0.0916 0.6831 0.4997  2 Re 2.04, 1 Cr 2.05
O 0.5917 0.1831 0.9997  2 Re 2.04, 1 Cr 2.05
O 0.4083 0.8169 0.0003  2 Re 2.04, 1 Cr 2.05
O 0.9083 0.3169 0.5003  2 Re 2.04, 1 Cr 2.05
O 0.3934 0.2770 0.4904  2 Re 1.99, 1 Cr 2.01
O 0.8934 0.7770 0.9904  2 Re 1.99, 1 Cr 2.01
O 0.1066 0.2230 0.0096  2 Re 1.99, 1 Cr 2.01
O 0.6067 0.7230 0.5096  2 Re 1.99, 1 Cr 2.01
O 0.6127 0.9965 0.2941  1 Re 1.93, 2 Cr 1.98-1.99
O 0.1127 0.4965 0.7941  1 Re 1.93, 2 Cr 1.98-1.99
O 0.4103 0.5035 0.2059  1 Re 1.93, 2 Cr 1.98-1.99
O 0.9103 0.0035 0.7060  1 Re 1.93, 2 Cr 1.98-1.99
O 0.8873 0.5035 0.2060  1 Re 1.93, 2 Cr 1.98-1.99
O 0.3873 0.0035 0.7060  1 Re 1.93, 2 Cr 1.98-1.99
O 0.0897 0.9964 0.2940  1 Re 1.93, 2 Cr 1.98-1.99
O 0.5897 0.4965 0.7940  1 Re 1.93, 2 Cr 1.98-1.99

## Properties
* formation energy from the elements: -2.1478 eV/atom
* distance to the lowest polymorph of the same formula: 0.0 meV/atom
* magnetization: 0.0 μB/f.u.